First-principles (GGA-PBE) data for RbNbCl6 after structural relaxation, as listed in the Materials Project database.

Summary:
space group	C2/c

Lattice parameters (Å, degrees): 7.027 7.027 12.630 100.73 100.73 55.41
Fractional coordinates of all 16 atoms:
Rb 0.119 0.881 0.750
Rb 0.881 0.119 0.250
Nb 0.000 0.500 0.000
Nb 0.500 0.000 0.500
Cl 0.107 0.204 0.540
Cl 0.200 0.371 0.842
Cl 0.204 0.107 0.040
Cl 0.299 0.537 0.103
Cl 0.371 0.200 0.342
Cl 0.463 0.701 0.397
Cl 0.537 0.299 0.603
Cl 0.629 0.800 0.658
Cl 0.701 0.463 0.897
Cl 0.796 0.893 0.960
Cl 0.800 0.629 0.158
Cl 0.893 0.796 0.460

=====

First-principles (GGA-PBE) data for Nb2Zn4S9O36 after structural relaxation, as listed in the Materials Project database.

Summary:
space group	P3c1
spin magnetization	0.000	μB/atom

Lattice parameters (Å, degrees): 8.740 8.740 22.524 90.00 90.00 120.00
Fractional coordinates of all 102 atoms:
Nb 0.000 0.000 0.000
Nb 0.000 0.000 0.500
Nb 0.333 0.667 0.174
Nb 0.333 0.667 0.674
Zn 0.000 0.000 0.213
Zn 0.000 0.000 0.713
Zn 0.333 0.667 0.379
Zn 0.333 0.667 0.879
Zn 0.667 0.333 0.044
Zn 0.667 0.333 0.338
Zn 0.667 0.333 0.544
Zn 0.667 0.333 0.838
S 0.040 0.372 0.278
S 0.040 0.668 0.778
S 0.292 0.005 0.610
S 0.292 0.287 0.110
S 0.332 0.372 0.778
S 0.332 0.960 0.278
S 0.384 0.043 0.942
S 0.384 0.341 0.442
S 0.628 0.668 0.278
S 0.628 0.960 0.778
S 0.659 0.043 0.442
S 0.659 0.616 0.942
S 0.713 0.005 0.110
S 0.713 0.708 0.610
S 0.957 0.341 0.942
S 0.957 0.616 0.442
S 0.995 0.287 0.610
S 0.995 0.708 0.110
O 0.027 0.203 0.266
O 0.027 0.824 0.766
O 0.032 0.206 0.555
O 0.032 0.826 0.055
O 0.135 0.495 0.221
O 0.135 0.640 0.721
O 0.136 0.487 0.934
O 0.136 0.649 0.434
O 0.155 0.457 0.328
O 0.155 0.698 0.828
O 0.161 0.467 0.617
O 0.161 0.695 0.117
O 0.174 0.206 0.055
O 0.174 0.968 0.555
O 0.176 0.203 0.766
O 0.176 0.973 0.266
O 0.197 0.024 0.953
O 0.197 0.172 0.453
O 0.210 0.029 0.662
O 0.210 0.181 0.162
O 0.302 0.457 0.828
O 0.302 0.845 0.328
O 0.305 0.467 0.117
O 0.305 0.839 0.617
O 0.351 0.487 0.434
O 0.351 0.864 0.934
O 0.360 0.495 0.721
O 0.360 0.865 0.221
O 0.449 0.154 0.889
O 0.449 0.294 0.389
O 0.466 0.154 0.599
O 0.466 0.312 0.099
O 0.483 0.121 0.996
O 0.483 0.363 0.496
O 0.494 0.131 0.281
O 0.494 0.364 0.781
O 0.505 0.640 0.221
O 0.505 0.865 0.721
O 0.513 0.649 0.934
O 0.513 0.864 0.434
O 0.533 0.695 0.617
O 0.533 0.839 0.117
O 0.543 0.698 0.328
O 0.543 0.845 0.828
O 0.636 0.131 0.781
O 0.636 0.506 0.281
O 0.637 0.121 0.496
O 0.637 0.517 0.996
O 0.688 0.154 0.099
O 0.688 0.534 0.599
O 0.706 0.154 0.389
O 0.706 0.551 0.889
O 0.794 0.826 0.555
O 0.794 0.968 0.055
O 0.797 0.824 0.266
O 0.797 0.973 0.766
O 0.819 0.029 0.162
O 0.819 0.790 0.662
O 0.828 0.024 0.453
O 0.828 0.803 0.953
O 0.846 0.294 0.889
O 0.846 0.312 0.599
O 0.846 0.534 0.099
O 0.846 0.551 0.389
O 0.869 0.364 0.281
O 0.869 0.506 0.781
O 0.879 0.363 0.996
O 0.879 0.517 0.496
O 0.971 0.181 0.662
O 0.971 0.790 0.162
O 0.976 0.172 0.953
O 0.976 0.803 0.453

=====

First-principles (GGA-PBE) data for Na9Sn4 after structural relaxation, as listed in the Materials Project database.

Summary:
ΔE to the lowest computed polymorph	0.0000	eV per atom
space group	P6_3/mmc

Lattice parameters (Å, degrees): 5.453 5.453 29.302 90.00 90.00 120.00
Fractional coordinates of all 26 atoms:
Na 0.000 0.000 0.176
Na 0.000 0.000 0.324
Na 0.000 0.000 0.676
Na 0.000 0.000 0.824
Na 0.333 0.667 0.020
Na 0.333 0.667 0.136
Na 0.333 0.667 0.250
Na 0.333 0.667 0.364
Na 0.333 0.667 0.480
Na 0.333 0.667 0.592
Na 0.333 0.667 0.908
Na 0.667 0.333 0.092
Na 0.667 0.333 0.408
Na 0.667 0.333 0.520
Na 0.667 0.333 0.636
Na 0.667 0.333 0.750
Na 0.667 0.333 0.864
Na 0.667 0.333 0.980
Sn 0.000 0.000 0.051
Sn 0.000 0.000 0.449
Sn 0.000 0.000 0.551
Sn 0.000 0.000 0.949
Sn 0.333 0.667 0.701
Sn 0.333 0.667 0.799
Sn 0.667 0.333 0.201
Sn 0.667 0.333 0.299

=====

First-principles (GGA-PBE) data for LiNbN2 after structural relaxation, as listed in the Materials Project database.

Summary:
space group	Pnma

Lattice parameters (Å, degrees): 6.174 4.253 7.419 90.00 90.00 90.00
Fractional coordinates of all 16 atoms:
Li 0.076 0.250 0.107
Li 0.424 0.750 0.607
Li 0.576 0.250 0.393
Li 0.924 0.750 0.893
Nb 0.080 0.250 0.634
Nb 0.420 0.750 0.134
Nb 0.580 0.250 0.866
Nb 0.920 0.750 0.366
N 0.080 0.750 0.603
N 0.092 0.750 0.147
N 0.408 0.250 0.647
N 0.420 0.250 0.103
N 0.580 0.750 0.897
N 0.592 0.750 0.353
N 0.908 0.250 0.853
N 0.920 0.250 0.397

=====

First-principles (GGA-PBE) data for DyHO2 after structural relaxation, as listed in the Materials Project database.

Summary:
space group	Pmn2_1
maximum piezoelectric response	1.12	C/m2

Lattice parameters (Å, degrees): 3.511 4.877 5.497 90.00 90.00 90.00
Fractional coordinates of all 8 atoms:
Dy 0.000 0.223 0.000
Dy 0.500 0.777 0.500
H 0.000 0.307 0.480
H 0.500 0.693 0.980
O 0.000 0.018 0.638
O 0.000 0.479 0.374
O 0.500 0.521 0.874
O 0.500 0.982 0.138

=====

First-principles (GGA-PBE) data for Na2Ti3Cl8 after structural relaxation, as listed in the Materials Project database.

Summary:
ΔE to the lowest computed polymorph	0.0482	eV per atom
space group	R-3m
spin magnetization	0.462	μB/atom

Lattice parameters (Å, degrees): 7.928 7.928 7.928 54.80 54.80 54.80
Fractional coordinates of all 13 atoms:
Na 0.159 0.159 0.159
Na 0.841 0.841 0.841
Ti 0.000 0.500 0.500
Ti 0.500 0.000 0.500
Ti 0.500 0.500 0.000
Cl 0.101 0.101 0.579
Cl 0.101 0.579 0.101
Cl 0.405 0.405 0.405
Cl 0.421 0.899 0.899
Cl 0.579 0.101 0.101
Cl 0.595 0.595 0.595
Cl 0.899 0.421 0.899
Cl 0.899 0.899 0.421

=====

| no. | energy of formation (eV/f.u.) |
| --- | --- |
| 1 | -15.30 |
| 2 | -100.99 |
| 3 | -2.34 |
| 4 | -4.30 |
| 5 | -11.91 |
| 6 | -24.41 |